Material: DyAlAu
Method: DFT, r2SCAN
State: optimized geometry

- Final energy: -30.660 eV per atom
- Total moment: 0.00 μB/f.u.

Unit cell a=7.160 b=4.450 c=7.744 alpha=90.00 beta=90.00 gamma=90.00
Space group Pnma (No. 62)
Asymmetric unit:
1 Dy 0.008 0.250 0.199
2 Al 0.175 0.250 0.578
3 Au 0.213 0.750 0.406

---

Material: Gd3SbO7
Method: DFT, r2SCAN
State: optimized geometry

- Final energy: -21.166 eV per atom
- Total moment: 21.00 μB/f.u.
- Offset from the most stable computed form: 0 meV/atom

Unit cell a=7.506 b=10.644 c=7.555 alpha=90.00 beta=90.00 gamma=90.00
Space group Cmcm (No. 63)
Asymmetric unit:
1 Gd 0.000 0.000 0.000
2 Gd 0.234 0.266 0.250
3 Sb 0.000 0.500 0.000
4 O 0.000 0.129 0.750
5 O 0.000 0.136 0.250
6 O 0.000 0.435 0.250
7 O 0.194 0.377 0.530

---

Material: PrPdPb
Method: DFT, r2SCAN
State: optimized geometry

- Final energy: -37.022 eV per atom
- Total moment: 0.00 μB/f.u.

Unit cell a=7.8336 b=7.8336 c=4.1438 alpha=90.00 beta=90.00 gamma=120.00
Space group P-62m (No. 189)
Asymmetric unit:
1 Pr 0.0000 0.5908 0.0000
2 Pd 0.0000 0.0000 0.0000
3 Pd 0.3333 0.6667 0.5000
4 Pb 0.0000 0.2561 0.5000

---

Material: TiCu2Sn
Method: DFT, r2SCAN
State: optimized geometry

- Final energy: -14.823 eV per atom
- Total moment: 0.93 μB/f.u.

Unit cell a=3.305 b=3.305 c=5.835 alpha=90.00 beta=90.00 gamma=90.00
Space group P4/mmm (No. 123)
Asymmetric unit:
1 Ti 0.000 0.000 0.000
2 Cu 0.500 0.500 0.223
3 Sn 0.000 0.000 0.500